Record 1
Compound: Sr5P3O13
Source: Materials Project
Functional: r2SCAN
Structure: relaxed

Energy relative to the elements, meV per atom: -3079
Total magnetization, μB per formula unit: 1.0

a = 9.7863 Å, b = 9.7863 Å, c = 7.2917 Å
α = 90.00°, β = 90.00°, γ = 120.00°
Closest atoms and distances in Å follow each position.
Fractional positions:
O: 0.8535 0.3335 0.7500  1 P 1.54
P: 0.5996 0.6332 0.7500  4 O 1.54
O: 0.3463 0.2607 0.0786  1 P 1.54
P: 0.3668 0.9664 0.7500  4 O 1.54
P: 0.9664 0.5996 0.2500  4 O 1.54
O: 0.0000 0.0000 0.2500  3 Sr 2.48
O: 0.5388 0.1213 0.2500  1 P 1.54
P: 0.6332 0.0336 0.2500  4 O 1.54
O: 0.7393 0.0856 0.0786  1 P 1.54
Sr: 0.2460 0.9852 0.2500  7 O 2.48-2.76
P: 0.0336 0.4004 0.7500  4 O 1.54
Sr: 0.9852 0.7393 0.7500  7 O 2.48-2.76
O: 0.6537 0.7393 0.5786  1 P 1.54
O: 0.5825 0.4612 0.2500  1 P 1.54
O: 0.6665 0.5200 0.7500  1 P 1.54
O: 0.9144 0.6537 0.4214  1 P 1.54
O: 0.0856 0.3463 0.9214  1 P 1.54
O: 0.3463 0.2607 0.4214  1 P 1.54
O: 0.1213 0.5825 0.7500  1 P 1.54
Sr: 0.0148 0.2607 0.2500  7 O 2.48-2.76
Sr: 0.3333 0.6667 0.0001  6 O 2.57-2.58
Sr: 0.6667 0.3333 0.9999  6 O 2.57-2.58
O: 0.4175 0.5388 0.7500  1 P 1.54
O: 0.2607 0.9144 0.9214  1 P 1.54
O: 0.6537 0.7393 0.9214  1 P 1.54
Sr: 0.3333 0.6667 0.4999  6 O 2.57-2.58
O: 0.7393 0.0856 0.4214  1 P 1.54
Sr: 0.7393 0.7540 0.2500  7 O 2.48-2.76
O: 0.0000 0.0000 0.7500  3 Sr 2.48
O: 0.9144 0.6537 0.0786  1 P 1.54
Sr: 0.2607 0.2460 0.7500  7 O 2.48-2.76
O: 0.3335 0.4800 0.2500  1 P 1.54
O: 0.0856 0.3463 0.5786  1 P 1.54
O: 0.4800 0.1465 0.7500  1 P 1.54
O: 0.1466 0.6665 0.2500  1 P 1.54
P: 0.4004 0.3668 0.2500  4 O 1.54
O: 0.2607 0.9144 0.5786  1 P 1.54
O: 0.4612 0.8787 0.7500  1 P 1.54
Sr: 0.6667 0.3333 0.5001  6 O 2.57-2.58
Sr: 0.7540 0.0148 0.7500  7 O 2.48-2.76
O: 0.5200 0.8534 0.2500  1 P 1.54
O: 0.8787 0.4175 0.2500  1 P 1.54


Record 2
Compound: SrTl2P4O12
Source: Materials Project
Functional: r2SCAN
Structure: relaxed

Energy relative to the elements, meV per atom: -2376
Total magnetization, μB per formula unit: 0.0

a = 7.3950 Å, b = 7.3950 Å, c = 7.3950 Å
α = 118.49°, β = 118.49°, γ = 92.64°
Closest atoms and distances in Å follow each position.
Fractional positions:
O: 0.7200 0.6569 0.5597  1 P 1.49
P: 0.9981 0.1269 0.5611  4 O 1.48-1.61
O: 0.0062 0.3673 0.7432  2 P 1.61
P: 0.5657 0.4369 0.4389  4 O 1.48-1.61
O: 0.9772 0.6747 0.0621  1 P 1.48
O: 0.6241 0.2630 0.2568  2 P 1.61
Sr: 0.0000 0.0000 0.0000  8 O 2.56-2.67
Tl: 0.4180 0.9180 0.5000  8 O 2.86-3.11
O: 0.6327 0.3759 0.6389  2 P 1.61
O: 0.0972 0.1602 0.4403  1 P 1.49
O: 0.0849 0.0228 0.6975  1 P 1.48
Tl: 0.0820 0.5820 0.5000  8 O 2.86-3.11
O: 0.3253 0.3874 0.3025  1 P 1.48
O: 0.8398 0.2800 0.9369  1 P 1.49
P: 0.8731 0.4343 0.8712  4 O 1.48-1.61
O: 0.6126 0.9151 0.9379  1 P 1.48
O: 0.7370 0.9938 0.3611  2 P 1.61
P: 0.5631 0.0019 0.1288  4 O 1.48-1.61
O: 0.3431 0.9028 0.0631  1 P 1.49


Record 3
Compound: Sr2VP2O9
Source: Materials Project
Functional: r2SCAN
Structure: relaxed

Energy relative to the elements, meV per atom: -2963
Total magnetization, μB per formula unit: 1.0

a = 6.7254 Å, b = 6.9904 Å, c = 8.7282 Å
α = 76.33°, β = 77.60°, γ = 115.20°
Closest atoms and distances in Å follow each position.
Fractional positions:
O: 0.4607 0.9973 0.7858  1 P 1.53
O: 0.2967 0.0680 0.5512  1 P 1.56
O: 0.7960 0.7597 0.7262  1 P 1.57
P: 0.8288 0.5775 0.8443  4 O 1.51-1.57
O: 0.0465 0.3118 0.0496  1 P 1.51
P: 0.1731 0.4219 0.1557  4 O 1.51-1.57
V: 0.0039 0.9813 0.4915  1 O 1.68
O: 0.7068 0.9344 0.4454  1 P 1.56
Sr: 0.6279 0.3753 0.2492  8 O 2.50-2.71
O: 0.6522 0.3798 0.5546  1 P 1.56
O: 0.5961 0.3614 0.9504  1 P 1.51
O: 0.2497 0.2150 0.7845  1 P 1.53
Sr: 0.7927 0.0401 0.9153  9 O 2.62-2.87
O: 0.7465 0.7831 0.2142  1 P 1.53
O: 0.0345 0.7888 0.4197  1 V 1.68
O: 0.3479 0.6192 0.4488  1 P 1.56
O: 0.9525 0.6862 0.9522  1 P 1.51
O: 0.9824 0.5150 0.7273  1 P 1.56
P: 0.4125 0.1628 0.6727  4 O 1.53-1.56
Sr: 0.3771 0.6245 0.7508  8 O 2.50-2.71
Sr: 0.2080 0.9554 0.0847  9 O 2.62-2.87
O: 0.9542 0.2085 0.5803  1 V 1.68
O: 0.4047 0.6385 0.0478  1 P 1.51
P: 0.5852 0.8356 0.3273  4 O 1.53-1.56
O: 0.2097 0.2423 0.2727  1 P 1.56
O: 0.5341 0.9995 0.2155  1 P 1.53
O: 0.0221 0.4858 0.2738  1 P 1.57
V: 0.9953 0.4728 0.5085  1 O 1.68


Record 4
Compound: SrZr4P6O24
Source: Materials Project
Functional: r2SCAN
Structure: relaxed

Energy relative to the elements, meV per atom: -3066
Total magnetization, μB per formula unit: 0.0

a = 9.2939 Å, b = 9.2939 Å, c = 9.2939 Å
α = 56.03°, β = 56.03°, γ = 56.03°
Closest atoms and distances in Å follow each position.
Fractional positions:
O: 0.0667 0.6824 0.9597  1 P 1.52
O: 0.2995 0.4974 0.1113  1 P 1.53
O: 0.4099 0.2317 0.5941  1 P 1.54
O: 0.2625 0.3510 0.9788  1 P 1.53
P: 0.0429 0.7439 0.4703  4 O 1.52-1.54
P: 0.9571 0.2561 0.5297  4 O 1.52-1.54
O: 0.7375 0.6490 0.0212  1 P 1.53
O: 0.9788 0.2625 0.3510  1 P 1.53
Sr: 0.5000 0.5000 0.5000  6 O 2.60
O: 0.0403 0.9333 0.3176  1 P 1.52
O: 0.9333 0.3176 0.0403  1 P 1.52
O: 0.0212 0.7375 0.6490  1 P 1.53
O: 0.6490 0.0212 0.7375  1 P 1.53
Zr: 0.3506 0.3506 0.3506  6 O 2.02-2.14
Zr: 0.8561 0.8561 0.8561  6 O 2.05-2.11
O: 0.5901 0.7683 0.4059  1 P 1.54
O: 0.3176 0.0403 0.9333  1 P 1.52
P: 0.7439 0.4703 0.0429  4 O 1.52-1.54
Zr: 0.6494 0.6494 0.6494  6 O 2.02-2.14
O: 0.7683 0.4059 0.5901  1 P 1.54
P: 0.2561 0.5297 0.9571  4 O 1.52-1.54
O: 0.9597 0.0667 0.6824  1 P 1.52
O: 0.3510 0.9788 0.2625  1 P 1.53
Zr: 0.1439 0.1439 0.1439  6 O 2.05-2.11
O: 0.8887 0.7005 0.5026  1 P 1.53
O: 0.2317 0.5941 0.4099  1 P 1.54
O: 0.7005 0.5026 0.8887  1 P 1.53
O: 0.5941 0.4099 0.2317  1 P 1.54
O: 0.4059 0.5901 0.7683  1 P 1.54
O: 0.6824 0.9597 0.0667  1 P 1.52
O: 0.1113 0.2995 0.4974  1 P 1.53
P: 0.4703 0.0429 0.7439  4 O 1.52-1.54
P: 0.5297 0.9571 0.2561  4 O 1.52-1.54
O: 0.5026 0.8887 0.7005  1 P 1.53
O: 0.4974 0.1113 0.2995  1 P 1.53


Record 5
Compound: Ta9PO25
Source: Materials Project
Functional: r2SCAN
Structure: relaxed

Energy relative to the elements, meV per atom: -3047
Total magnetization, μB per formula unit: 0.0

a = 11.2151 Å, b = 11.2151 Å, c = 11.2151 Å
α = 91.68°, β = 91.68°, γ = 160.30°
Closest atoms and distances in Å follow each position.
Fractional positions:
O: 0.5848 0.0963 0.6161  1 P 1.54
O: 0.9489 0.1182 0.0613  2 Ta 1.83-1.99
O: 0.8549 0.3658 0.2000  2 Ta 1.96-2.02
O: 0.0171 0.2868 0.2884  2 Ta 1.82-2.04
O: 0.6342 0.8342 0.4891  2 Ta 1.96-2.02
O: 0.3956 0.7626 0.1396  2 Ta 1.99-2.00
Ta: 0.0000 0.0000 0.0000  6 O 1.92-1.99
O: 0.0569 0.8876 0.9387  2 Ta 1.83-1.99
O: 0.8818 0.9431 0.8307  2 Ta 1.83-1.99
O: 0.2374 0.3770 0.6331  2 Ta 1.99-2.00
Ta: 0.2116 0.0984 0.3266  5 O 1.83-2.04
Ta: 0.7718 0.8850 0.6734  5 O 1.83-2.04
O: 0.9037 0.5198 0.4886  1 P 1.54
O: 0.7963 0.1919 0.9553  2 Ta 1.90-1.93
O: 0.7439 0.6044 0.3669  2 Ta 1.99-2.00
O: 0.6230 0.2561 0.8604  2 Ta 1.99-2.00
O: 0.0313 0.4152 0.5114  1 P 1.54
O: 0.3451 0.1451 0.5109  2 Ta 1.96-2.02
O: 0.1658 0.6549 0.8000  2 Ta 1.96-2.02
Ta: 0.1127 0.3255 0.4429  4 O 1.82-2.02
P: 0.7500 0.2500 0.5000  4 O 1.54
O: 0.2367 0.8411 0.0447  2 Ta 1.90-1.93
O: 0.2712 0.9829 0.2697  2 Ta 1.82-2.04
Ta: 0.1150 0.7884 0.8868  5 O 1.83-2.04
O: 0.7132 0.0016 0.7303  2 Ta 1.82-2.04
O: 0.1589 0.2036 0.3956  2 Ta 1.90-1.93
O: 0.1124 0.0511 0.1693  2 Ta 1.83-1.99
O: 0.9984 0.7288 0.7116  2 Ta 1.82-2.04
Ta: 0.3302 0.8873 0.2128  4 O 1.82-2.02
Ta: 0.8826 0.6698 0.5571  4 O 1.82-2.02
O: 0.4802 0.9687 0.3839  1 P 1.54
O: 0.5000 0.5000 0.0000  2 Ta 1.92
O: 0.8081 0.7633 0.6044  2 Ta 1.90-1.93
Ta: 0.6745 0.1174 0.7871  4 O 1.82-2.02
Ta: 0.9016 0.2282 0.1132  5 O 1.83-2.04


Record 6
Compound: Ta9P2O25
Source: Materials Project
Functional: r2SCAN
Structure: relaxed

Energy relative to the elements, meV per atom: -2652
Total magnetization, μB per formula unit: 0.8

a = 11.4230 Å, b = 11.4230 Å, c = 11.4230 Å
α = 91.63°, β = 91.63°, γ = 160.58°
Closest atoms and distances in Å follow each position.
Fractional positions:
Ta: 0.9025 0.2209 0.1233  5 O 1.84-2.02
O: 0.7499 0.6115 0.3614  2 Ta 1.99
O: 0.1613 0.6506 0.8120  2 Ta 2.00
O: 0.7885 0.1792 0.9676  2 Ta 1.89-1.93
O: 0.0150 0.2791 0.2941  2 Ta 1.85-2.02
O: 0.5000 0.5000 0.0000  2 Ta 1.93
O: 0.5606 0.0859 0.6465  2 P 1.93, 1 Ta 2.04
Ta: 0.3173 0.8753 0.1926  5 O 1.85-2.04
O: 0.9850 0.7209 0.7059  2 Ta 1.85-2.02
O: 0.2791 0.9850 0.2641  2 Ta 1.85-2.02
Ta: 0.2209 0.0975 0.3184  5 O 1.84-2.02
Ta: 0.7791 0.9025 0.6816  5 O 1.84-2.02
Ta: 0.1247 0.3173 0.4420  5 O 1.85-2.04
O: 0.1162 0.0488 0.1650  2 Ta 1.84-2.01
Ta: 0.8753 0.6827 0.5580  5 O 1.85-2.04
Ta: 0.6827 0.1247 0.8074  5 O 1.85-2.04
O: 0.9512 0.1162 0.0674  2 Ta 1.84-2.01
O: 0.7209 0.0150 0.7359  2 Ta 1.85-2.02
O: 0.3494 0.1613 0.5107  2 Ta 2.00
P: 0.7500 0.2500 0.5000  2 P 1.93, 4 O 1.93
O: 0.6115 0.2501 0.8616  2 Ta 1.99
O: 0.0859 0.4394 0.5253  2 P 1.93, 1 Ta 2.04
Ta: 0.0000 0.0000 0.0000  6 O 1.93-2.01
O: 0.4394 0.9141 0.3535  2 P 1.93, 1 Ta 2.04
O: 0.0488 0.8838 0.9326  2 Ta 1.84-2.01
O: 0.8838 0.9512 0.8350  2 Ta 1.84-2.01
O: 0.2501 0.3885 0.6386  2 Ta 1.99
Ta: 0.0975 0.7791 0.8767  5 O 1.84-2.02
O: 0.3885 0.7499 0.1384  2 Ta 1.99
O: 0.8208 0.7885 0.6093  2 Ta 1.89-1.93
O: 0.8387 0.3494 0.1880  2 Ta 2.00
O: 0.2115 0.8208 0.0324  2 Ta 1.89-1.93
P: 0.2500 0.7500 0.5000  2 P 1.93, 4 O 1.93
O: 0.6506 0.8387 0.4893  2 Ta 2.00
O: 0.1792 0.2115 0.3907  2 Ta 1.89-1.93
O: 0.9141 0.5606 0.4747  2 P 1.93, 1 Ta 2.04